The following is a r²SCAN calculation of a geometry-optimized Sr5In3 structure, from the Materials Project.

```
Sr5In3
1.0
-4.384 4.384 8.262
4.384 -4.384 8.262
4.386 4.386 -8.262
Sr In
10 6
direct
0.468 0.322 0.500
0.968 0.468 0.147
0.532 0.678 0.500
0.500 0.500 0.000
0.000 0.000 0.000
0.321 0.821 0.853
0.822 0.968 0.500
0.178 0.032 0.500
0.032 0.532 0.853
0.679 0.179 0.147
0.887 0.613 0.500
0.250 0.250 0.000
0.387 0.887 0.273
0.113 0.387 0.500
0.750 0.750 0.000
0.613 0.113 0.727
```

calculated total energy = -18.364 eV per atom
ΔE_f = -3.45 eV/f.u.
SG = I4/mcm, No. 140



The following is a r²SCAN calculation of a geometry-optimized Tb3In structure, from the Materials Project.

```
Tb3In
1.0
3.431 -5.942 0.000
3.431 5.942 0.000
0.000 0.000 5.640
Tb In
6 2
direct
0.828 0.656 0.750
0.828 0.172 0.750
0.172 0.344 0.250
0.172 0.828 0.250
0.344 0.172 0.750
0.656 0.828 0.250
0.667 0.333 0.250
0.333 0.667 0.750
```

calculated total energy = -29.424 eV per atom
ΔE_f = -1.44 eV/f.u.
SG = P6_3/mmc, No. 194



The following is a r²SCAN calculation of a geometry-optimized TbTmIn2 structure, from the Materials Project.

```
TbTmIn2
1.0
0.870 -4.643 2.329
-2.974 -1.498 4.080
-3.468 -3.923 -0.569
Tb In Tm
1 2 1
direct
0.500 0.500 0.500
0.250 0.250 0.250
0.750 0.750 0.750
0.000 0.000 0.000
```

calculated total energy = -28.450 eV per atom
ΔE_f = -2.30 eV/f.u.
SG = Fm-3m, No. 225



The following is a r²SCAN calculation of a geometry-optimized In4Te3 structure, from the Materials Project.

```
In4Te3
1.0
4.473 0.000 0.000
0.000 12.974 0.000
0.000 0.000 16.009
In Te
16 12
direct
0.500 0.154 0.215
0.000 0.527 0.814
0.000 0.646 0.960
0.500 0.108 0.928
0.500 0.846 0.785
0.000 0.608 0.572
0.000 0.392 0.428
0.500 0.892 0.072
0.000 0.654 0.285
0.500 0.146 0.540
0.500 0.973 0.314
0.500 0.027 0.686
0.000 0.346 0.715
0.500 0.854 0.460
0.000 0.354 0.040
0.000 0.473 0.186
0.000 0.142 0.099
0.000 0.139 0.775
0.500 0.642 0.401
0.000 0.148 0.429
0.500 0.352 0.929
0.500 0.361 0.275
0.000 0.858 0.901
0.500 0.648 0.071
0.500 0.358 0.599
0.000 0.861 0.225
0.000 0.852 0.571
0.500 0.639 0.725
```

calculated total energy = -24.190 eV per atom
ΔE_f = -2.76 eV/f.u.
SG = Pnnm, No. 58



The following is a r²SCAN calculation of a geometry-optimized TlInTe2 structure, from the Materials Project.

```
TlInTe2
1.0
3.939 -2.336 -5.459
1.350 6.486 2.624
1.369 -4.502 5.351
Te In Tl
4 2 2
direct
0.323 0.177 0.500
0.177 0.677 0.854
0.677 0.823 0.500
0.823 0.323 0.146
0.250 0.750 0.500
0.750 0.250 0.500
0.250 0.250 0.000
0.750 0.750 0.000
```

calculated total energy = -32.140 eV per atom
ΔE_f = -1.97 eV/f.u.
SG = I4/mcm, No. 140



The following is a r²SCAN calculation of a geometry-optimized ThIn structure, from the Materials Project.

```
ThIn
1.0
2.467 2.463 0.000
-0.020 4.947 0.000
0.000 0.000 4.664
Th In
1 1
direct
0.000 0.500 0.500
0.000 0.000 0.000
```

calculated total energy = -48.413 eV per atom
ΔE_f = -0.77 eV/f.u.
SG = Pmmm, No. 47



The following is a r²SCAN calculation of a geometry-optimized Th3In5 structure, from the Materials Project.

```
Th3In5
1.0
5.153 4.147 0.000
-5.153 4.147 0.000
0.000 0.000 10.402
In Th
10 6
direct
0.925 0.508 0.750
0.508 0.925 0.750
0.981 0.981 0.750
0.492 0.075 0.250
0.019 0.019 0.250
0.693 0.693 0.949
0.693 0.693 0.551
0.075 0.492 0.250
0.307 0.307 0.449
0.307 0.307 0.051
0.206 0.794 0.500
0.794 0.206 0.500
0.368 0.368 0.750
0.206 0.794 0.000
0.794 0.206 0.000
0.632 0.632 0.250
```

calculated total energy = -42.155 eV per atom
ΔE_f = -3.92 eV/f.u.
SG = Cmcm, No. 63



The following is a r²SCAN calculation of a geometry-optimized ThIn3 structure, from the Materials Project.

```
ThIn3
1.0
4.728 0.000 0.000
0.000 4.728 0.000
0.000 0.000 4.728
In Th
3 1
direct
0.500 0.000 0.500
0.000 0.500 0.500
0.500 0.500 0.000
0.000 0.000 0.000
```

calculated total energy = -35.755 eV per atom
ΔE_f = -1.81 eV/f.u.
SG = Pm-3m, No. 221



The following is a r²SCAN calculation of a geometry-optimized Th2In structure, from the Materials Project.

```
Th2In
1.0
-0.600 -3.496 5.219
-0.188 6.308 0.048
-5.100 -1.564 -3.371
Th In
4 2
direct
0.653 0.153 0.805
0.847 0.653 0.500
0.347 0.847 0.195
0.153 0.347 0.500
0.750 0.750 0.000
0.250 0.250 0.000
```

calculated total energy = -56.790 eV per atom
ΔE_f = -0.84 eV/f.u.
SG = I4/mcm, No. 140



The following is a r²SCAN calculation of a geometry-optimized Ti3In structure, from the Materials Project.

```
Ti3In
1.0
-5.274 -0.311 -2.634
0.512 -1.277 5.740
-0.814 4.576 1.091
Ti In
6 2
direct
0.330 0.165 0.750
0.835 0.670 0.750
0.835 0.165 0.750
0.165 0.835 0.250
0.165 0.330 0.250
0.670 0.835 0.250
0.333 0.667 0.750
0.667 0.333 0.250
```

calculated total energy = -15.522 eV per atom
ΔE_f = -0.70 eV/f.u.
SG = P6_3/mmc, No. 194



The following is a r²SCAN calculation of a geometry-optimized Ti3In structure, from the Materials Project.

```
Ti3In
1.0
4.156 0.000 0.000
0.000 4.156 0.000
0.000 0.000 4.156
Ti In
3 1
direct
0.500 0.500 0.000
0.000 0.500 0.500
0.500 0.000 0.500
0.000 0.000 0.000
```

calculated total energy = -15.508 eV per atom
ΔE_f = -0.64 eV/f.u.
SG = Pm-3m, No. 221



The following is a r²SCAN calculation of a geometry-optimized TlIn structure, from the Materials Project.

```
TlIn
1.0
5.662 -1.706 0.015
5.662 1.706 0.015
5.140 0.000 2.924
In Tl
1 1
direct
0.000 0.000 0.000
0.500 0.500 0.500
```

calculated total energy = -37.852 eV per atom
ΔE_f = 0.05 eV/f.u.
SG = R-3m, No. 166



> The lowest calculated total energy belongs to which entry?

Th2In



> Look up the calculated total energy of the first one.

-18.364 eV per atom